(1)
Crystalline La2AgRu at its relaxed geometry, computed with GGA-PBE.

abc: 7.370 7.370 7.370
angles: 90.00 90.00 90.00
Space group Fm-3m (No. 225)
Symmetry-distinct sites (fractional):
La  0.250  0.250  0.250
Ag  0.000  0.000  0.000
Ru  0.000  0.000  0.500

Calculated values
- E_form: -20.3 kJ per mole of atoms
- Crystal system: cubic

***

(2)
Crystalline CaPb3Se4 at its relaxed geometry, computed with GGA-PBE.

abc: 8.748 12.357 4.361
angles: 90.00 90.00 90.00
Space group Cmmm (No. 65)
Symmetry-distinct sites (fractional):
Ca  0.000  0.000  0.000
Pb  0.000  0.500  0.000
Pb  0.250  0.250  0.500
Se  0.000  0.245  0.000
Se  0.241  0.000  0.500

Calculated values
- E_form: -110.7 kJ per mole of atoms
- Crystal system: orthorhombic

***

(3)
Crystalline Rb2TiAuF6 at its relaxed geometry, computed with GGA-PBE.

abc: 9.480 9.480 9.480
angles: 90.00 90.00 90.00
Space group Fm-3m (No. 225)
Symmetry-distinct sites (fractional):
Rb  0.250  0.250  0.250
Ti  0.000  0.000  0.000
Au  0.000  0.000  0.500
F  0.000  0.000  0.200

Calculated values
- E_form: -274.6 kJ per mole of atoms
- Crystal system: cubic

***

(4)
Crystalline TiCrAgS4 at its relaxed geometry, computed with GGA-PBE.

abc: 9.309 11.634 5.839
angles: 90.00 90.00 90.00
Space group Pmc2_1 (No. 26)
Symmetry-distinct sites (fractional):
Ti  0.000  0.011  0.000
Ti  0.000  0.223  0.635
Cr  0.500  0.286  0.364
Cr  0.500  0.490  0.978
Ag  0.000  0.383  0.189
Ag  0.500  0.111  0.803
S  0.000  0.171  0.255
S  0.000  0.404  0.751
S  0.180  0.095  0.743
S  0.333  0.407  0.238
S  0.500  0.111  0.243
S  0.500  0.329  0.727

Calculated values
- ΔE to the lowest computed polymorph: 194 meV per atom
- E_form: -88.1 kJ per mole of atoms
- Crystal system: orthorhombic

***

(5)
Crystalline Zn5B3Ir7 at its relaxed geometry, computed with GGA-PBE.

abc: 11.466 2.823 12.243
angles: 90.00 90.00 90.00
Space group Pmma (No. 51)
Symmetry-distinct sites (fractional):
Zn  0.063  0.000  0.157
Zn  0.134  0.000  0.361
Zn  0.250  0.000  0.034
B  0.119  0.000  0.589
B  0.250  0.000  0.774
Ir  0.000  0.500  0.500
Ir  0.093  0.500  0.942
Ir  0.113  0.500  0.724
Ir  0.250  0.500  0.216
Ir  0.250  0.500  0.525

Calculated values
- ΔE to the lowest computed polymorph: 186 meV per atom
- E_form: -9.4 kJ per mole of atoms
- Crystal system: orthorhombic

***

(6)
Crystalline ZnSi3 at its relaxed geometry, computed with GGA-PBE.

abc: 3.798 3.798 8.472
angles: 90.00 90.00 90.00
Space group I4/mmm (No. 139)
Symmetry-distinct sites (fractional):
Zn  0.000  0.000  0.000
Si  0.000  0.000  0.500
Si  0.000  0.500  0.250

Calculated values
- ΔE to the lowest computed polymorph: 0 meV per atom
- E_form: 50.0 kJ per mole of atoms
- Crystal system: tetragonal

***

(7)
Crystalline Na3HfAlSiP2O12 at its relaxed geometry, computed with GGA-PBE.

abc: 15.385 8.862 22.167
angles: 90.00 90.24 90.00
Space group Cc (No. 9)
Symmetry-distinct sites (fractional):
Na  0.000  0.001  0.000
Na  0.005  0.362  0.249
Na  0.157  0.189  0.411
Na  0.166  0.490  0.833
Na  0.170  0.137  0.084
Na  0.320  0.310  0.248
Na  0.335  0.004  0.167
Na  0.335  0.368  0.916
Na  0.353  0.321  0.577
Hf  0.004  0.006  0.849
Hf  0.172  0.500  0.182
Hf  0.341  0.001  0.015
Al  0.005  0.010  0.644
Al  0.174  0.499  0.478
Al  0.330  0.003  0.311
Si  0.151  0.134  0.243
Si  0.321  0.360  0.078
Si  0.333  0.293  0.412
P  0.000  0.290  0.744
P  0.029  0.353  0.077
P  0.164  0.209  0.576
P  0.194  0.152  0.912
P  0.360  0.346  0.745
P  0.485  0.135  0.909
O  0.015  0.196  0.801
O  0.020  0.180  0.082
O  0.066  0.420  0.137
O  0.075  0.433  0.419
O  0.082  0.395  0.739
O  0.086  0.105  0.584
O  0.089  0.391  0.024
O  0.091  0.118  0.304
O  0.100  0.069  0.184
O  0.104  0.072  0.906
O  0.155  0.307  0.519
O  0.161  0.322  0.240
O  0.183  0.310  0.632
O  0.184  0.323  0.920
O  0.233  0.078  0.970
O  0.245  0.399  0.418
O  0.248  0.108  0.573
O  0.249  0.065  0.252
O  0.255  0.121  0.858
O  0.259  0.383  0.138
O  0.268  0.419  0.740
O  0.273  0.436  0.020
O  0.320  0.182  0.354
O  0.326  0.175  0.074
O  0.349  0.196  0.473
O  0.354  0.174  0.754
O  0.399  0.425  0.801
O  0.415  0.443  0.088
O  0.417  0.378  0.689
O  0.417  0.410  0.408
O  0.420  0.107  0.250
O  0.424  0.117  0.964
O  0.435  0.081  0.573
O  0.439  0.074  0.852
O  0.486  0.314  0.190
O  0.495  0.312  0.906

Calculated values
- E_form: -291.4 kJ per mole of atoms
- Crystal system: monoclinic

***

(8)
Crystalline BeH2O2 at its relaxed geometry, computed with GGA-PBE.

abc: 4.587 4.686 6.997
angles: 90.00 90.00 90.00
Space group P2_12_12_1 (No. 19)
Symmetry-distinct sites (fractional):
Be  0.040  0.206  0.127
H  0.148  0.070  0.786
H  0.220  0.407  0.564
O  0.153  0.918  0.233
O  0.174  0.610  0.553

Calculated values
- ΔE to the lowest computed polymorph: 0 meV per atom
- Piezoelectric modulus e_max: 0.52 C/m²
- E_form: -192.9 kJ per mole of atoms
- Crystal system: orthorhombic

***

(9)
Crystalline PdF4 at its relaxed geometry, computed with GGA-PBE.

abc: 9.383 9.543 6.050
angles: 90.00 90.00 90.00
Space group Fdd2 (No. 43)
Symmetry-distinct sites (fractional):
Pd  0.000  0.000  0.000
F  0.109  0.094  0.256
F  0.110  0.094  0.787

Calculated values
- ΔE to the lowest computed polymorph: 0 meV per atom
- Piezoelectric modulus e_max: 0.69 C/m²
- E_form: -144.4 kJ per mole of atoms
- Crystal system: orthorhombic

***

(10)
Crystalline ZnSb2O4 at its relaxed geometry, computed with GGA-PBE.

abc: 6.523 7.180 17.138
angles: 89.19 88.83 63.08
Space group P1 (No. 1)
Symmetry-distinct sites (fractional):
Zn  0.000  0.000  0.000
Zn  0.029  0.727  0.587
Zn  0.150  0.763  0.156
Zn  0.264  0.386  0.296
Zn  0.546  0.721  0.669
Zn  0.870  0.189  0.843
Sb  0.060  0.240  0.675
Sb  0.106  0.582  0.802
Sb  0.208  0.921  0.330
Sb  0.411  0.080  0.130
Sb  0.445  0.944  0.861
Sb  0.474  0.513  0.968
Sb  0.478  0.848  0.499
Sb  0.558  0.254  0.681
Sb  0.735  0.413  0.221
Sb  0.739  0.280  0.445
Sb  0.769  0.844  0.326
Sb  0.948  0.521  0.038
O  0.013  0.804  0.400
O  0.025  0.204  0.381
O  0.053  0.323  0.789
O  0.102  0.511  0.665
O  0.148  0.947  0.895
O  0.179  0.998  0.094
O  0.227  0.475  0.913
O  0.228  0.382  0.103
O  0.295  0.123  0.241
O  0.305  0.762  0.578
O  0.386  0.584  0.235
O  0.422  0.927  0.747
O  0.440  0.446  0.771
O  0.552  0.275  0.357
O  0.610  0.638  0.888
O  0.672  0.583  0.445
O  0.700  0.827  0.581
O  0.712  0.577  0.125
O  0.721  0.425  0.643
O  0.724  0.225  0.947
O  0.856  0.094  0.736
O  0.920  0.558  0.274
O  0.958  0.784  0.062
O  0.961  0.936  0.252

Calculated values
- ΔE to the lowest computed polymorph: 106 meV per atom
- E_form: -158.6 kJ per mole of atoms
- Crystal system: triclinic

***

(11)
Crystalline Hf2PbC at its relaxed geometry, computed with GGA-PBE.

abc: 3.3718 3.3718 14.7393
angles: 90.00 90.00 120.00
Space group P6_3/mmc (No. 194)
Symmetry-distinct sites (fractional):
Hf  0.3333  0.6667  0.0821
Pb  0.3333  0.6667  0.7500
C  0.0000  0.0000  0.0000

Calculated values
- E_form: -60.7 kJ per mole of atoms
- Crystal system: hexagonal

***

(12)
Crystalline Sc2FeB2RuRh4 at its relaxed geometry, computed with GGA-PBE.

abc: 9.369 9.369 3.033
angles: 90.00 90.00 90.00
Space group P4/mbm (No. 127)
Symmetry-distinct sites (fractional):
Sc  0.174  0.326  0.000
Fe  0.000  0.000  0.000
B  0.123  0.623  0.000
Ru  0.000  0.500  0.500
Rh  0.071  0.785  0.500

Calculated values
- E_form: -67.7 kJ per mole of atoms
- Crystal system: tetragonal

***

(13)
Crystalline BaAl2P2O10 at its relaxed geometry, computed with GGA-PBE.

abc: 4.980 6.121 6.699
angles: 110.71 106.65 93.12
Space group P-1 (No. 2)
Symmetry-distinct sites (fractional):
Ba  0.000  0.000  0.000
Al  0.313  0.358  0.735
P  0.319  0.801  0.588
O  0.073  0.767  0.373
O  0.237  0.651  0.712
O  0.327  0.475  0.048
O  0.388  0.062  0.767
O  0.403  0.254  0.465

Calculated values
- E_form: -279.7 kJ per mole of atoms
- Crystal system: triclinic

***

(14)
Crystalline MnCu2SnTe4 at its relaxed geometry, computed with GGA-PBE.

abc: 6.197 6.197 12.383
angles: 90.00 90.00 90.00
Space group I-42m (No. 121)
Symmetry-distinct sites (fractional):
Mn  0.000  0.000  0.000
Cu  0.000  0.500  0.250
Sn  0.000  0.000  0.500
Te  0.240  0.240  0.862

Calculated values
- E_form: -33.8 kJ per mole of atoms
- Crystal system: tetragonal

***

no.,DFT total energy (eV for the cell shown)
1,-91.3
2,-68.8
3,-201.2
4,-165.2
5,-179.3
6,-31.3
7,-1745.5
8,-116.2
9,-147.8
10,-228.4
11,-70.7
12,-160.5
13,-106.3
14,-70.1